1.
Below is crystalline SmAlFe at its relaxed geometry, with properties calculated at the PBE level.

a = 8.850 Å, b = 5.413 Å, c = 5.413 Å
α = 61.06°, β = 90.00°, γ = 90.00°
Fractional coordinates of all 12 atoms:
Sm  0.177  0.000  0.000
Sm  0.304  0.335  0.335
Sm  0.696  0.335  0.335
Sm  0.823  0.000  0.000
Al  0.236  0.673  0.673
Al  0.500  0.331  0.833
Al  0.500  0.833  0.331
Al  0.764  0.673  0.673
Fe  0.000  0.020  0.492
Fe  0.000  0.492  0.020
Fe  0.000  0.498  0.498
Fe  0.500  0.834  0.834

Properties
**Magnetization**: 6.85 Bohr magnetons per cell
**Calculated total energy**: -5.8651 eV per atom

=====

2.
Below is crystalline SmAlFe at its relaxed geometry, with properties calculated at the PBE level.

a = 8.719 Å, b = 5.483 Å, c = 5.483 Å
α = 59.86°, β = 90.00°, γ = 90.00°
Fractional coordinates of all 12 atoms:
Sm  0.186  0.000  0.000
Sm  0.300  0.670  0.670
Sm  0.700  0.670  0.670
Sm  0.814  0.000  0.000
Al  0.000  0.494  0.494
Al  0.500  0.170  0.170
Al  0.500  0.171  0.658
Al  0.500  0.658  0.171
Fe  0.000  0.014  0.496
Fe  0.000  0.496  0.014
Fe  0.238  0.326  0.326
Fe  0.762  0.326  0.326

Properties
**Magnetization**: 6.50 Bohr magnetons per cell
**Calculated total energy**: -5.8673 eV per atom

=====

3.
Below is crystalline Sm2Al2Fe15 at its relaxed geometry, with properties calculated at the PBE level.

a = 6.445 Å, b = 6.445 Å, c = 6.445 Å
α = 82.38°, β = 82.38°, γ = 82.38°
Fractional coordinates of all 19 atoms:
Sm  0.153  0.153  0.153
Sm  0.847  0.847  0.847
Al  0.398  0.398  0.398
Al  0.602  0.602  0.602
Fe  0.000  0.500  0.500
Fe  0.159  0.159  0.658
Fe  0.159  0.658  0.159
Fe  0.209  0.500  0.791
Fe  0.209  0.791  0.500
Fe  0.342  0.841  0.841
Fe  0.500  0.000  0.500
Fe  0.500  0.209  0.791
Fe  0.500  0.500  0.000
Fe  0.500  0.791  0.209
Fe  0.658  0.159  0.159
Fe  0.791  0.209  0.500
Fe  0.791  0.500  0.209
Fe  0.841  0.342  0.841
Fe  0.841  0.841  0.342

Properties
**Magnetization**: 28.51 Bohr magnetons per cell
**Calculated total energy**: -7.6364 eV per atom

=====

4.
Below is crystalline Sm2Al4Fe13 at its relaxed geometry, with properties calculated at the PBE level.

a = 6.498 Å, b = 6.498 Å, c = 6.498 Å
α = 82.28°, β = 82.28°, γ = 82.28°
Fractional coordinates of all 19 atoms:
Sm  0.000  0.000  0.000
Sm  0.309  0.309  0.309
Al  0.167  0.651  0.651
Al  0.651  0.167  0.651
Al  0.651  0.651  0.167
Al  0.746  0.746  0.746
Fe  0.312  0.312  0.821
Fe  0.312  0.821  0.312
Fe  0.367  0.657  0.947
Fe  0.367  0.947  0.657
Fe  0.496  0.993  0.993
Fe  0.557  0.557  0.557
Fe  0.657  0.367  0.947
Fe  0.657  0.947  0.367
Fe  0.821  0.312  0.312
Fe  0.947  0.367  0.657
Fe  0.947  0.657  0.367
Fe  0.993  0.496  0.993
Fe  0.993  0.993  0.496

Properties
**Magnetization**: 25.36 Bohr magnetons per cell
**Calculated total energy**: -7.1883 eV per atom

=====

5.
Below is crystalline TbAl10Fe2 at its relaxed geometry, with properties calculated at the PBE level.

a = 6.755 Å, b = 6.755 Å, c = 8.987 Å
α = 90.00°, β = 90.00°, γ = 97.20°
Fractional coordinates of all 26 atoms:
Tb  0.126  0.874  0.750
Tb  0.874  0.126  0.250
Al  0.137  0.417  0.750
Al  0.156  0.844  0.098
Al  0.156  0.844  0.402
Al  0.219  0.480  0.250
Al  0.229  0.229  0.000
Al  0.229  0.229  0.500
Al  0.374  0.626  0.545
Al  0.374  0.626  0.955
Al  0.417  0.137  0.250
Al  0.480  0.219  0.750
Al  0.520  0.781  0.250
Al  0.583  0.863  0.750
Al  0.626  0.374  0.045
Al  0.626  0.374  0.455
Al  0.771  0.771  0.000
Al  0.771  0.771  0.500
Al  0.781  0.520  0.750
Al  0.844  0.156  0.598
Al  0.844  0.156  0.902
Al  0.863  0.583  0.250
Fe  0.000  0.500  0.000
Fe  0.000  0.500  0.500
Fe  0.500  0.000  0.000
Fe  0.500  0.000  0.500

Properties
**Calculated total energy**: -4.8976 eV per atom

=====

6.
Below is crystalline TbAlFe2 at its relaxed geometry, with properties calculated at the PBE level.

a = 5.306 Å, b = 5.306 Å, c = 16.322 Å
α = 90.00°, β = 90.00°, γ = 120.00°
Fractional coordinates of all 24 atoms:
Tb  0.333  0.667  0.033
Tb  0.333  0.667  0.239
Tb  0.333  0.667  0.469
Tb  0.667  0.333  0.531
Tb  0.667  0.333  0.761
Tb  0.667  0.333  0.967
Al  0.164  0.329  0.635
Al  0.164  0.836  0.635
Al  0.329  0.164  0.365
Al  0.671  0.836  0.635
Al  0.836  0.164  0.365
Al  0.836  0.671  0.365
Fe  0.000  0.000  0.000
Fe  0.000  0.000  0.238
Fe  0.000  0.000  0.500
Fe  0.000  0.000  0.762
Fe  0.166  0.332  0.875
Fe  0.166  0.834  0.875
Fe  0.332  0.166  0.125
Fe  0.333  0.667  0.761
Fe  0.667  0.333  0.239
Fe  0.668  0.834  0.875
Fe  0.834  0.166  0.125
Fe  0.834  0.668  0.125

Properties
**Magnetization**: 22.23 Bohr magnetons per cell
**Calculated total energy**: -6.5383 eV per atom

=====

7.
Below is crystalline Tb2Al3Fe at its relaxed geometry, with properties calculated at the PBE level.

a = 5.397 Å, b = 5.397 Å, c = 5.397 Å
α = 61.61°, β = 61.61°, γ = 61.61°
Fractional coordinates of all 6 atoms:
Tb  0.126  0.126  0.126
Tb  0.874  0.874  0.874
Al  0.000  0.500  0.500
Al  0.500  0.000  0.500
Al  0.500  0.500  0.000
Fe  0.500  0.500  0.500

Properties
**Magnetization**: 2.02 Bohr magnetons per cell
**Calculated total energy**: -5.2247 eV per atom

=====

8.
Below is crystalline Tb2AlFe3 at its relaxed geometry, with properties calculated at the PBE level.

a = 5.208 Å, b = 5.208 Å, c = 5.208 Å
α = 60.30°, β = 60.30°, γ = 60.30°
Fractional coordinates of all 6 atoms:
Tb  0.123  0.123  0.123
Tb  0.877  0.877  0.877
Al  0.500  0.500  0.500
Fe  0.000  0.500  0.500
Fe  0.500  0.000  0.500
Fe  0.500  0.500  0.000

Properties
**Magnetization**: 3.95 Bohr magnetons per cell
**Calculated total energy**: -6.5628 eV per atom

=====

| no. | energy relative to the elements (eV per atom) |
| --- | --- |
| 1 | -0.220 |
| 2 | -0.223 |
| 3 | -0.059 |
| 4 | -0.108 |
| 5 | -0.357 |
| 6 | -0.208 |
| 7 | -0.395 |
| 8 | -0.159 |